A plane-wave DFT calculation with PBE was carried out for crystalline Zr2Sn at its relaxed geometry.

Output
SG = Cmcm
V = 136.0 Å³ per cell
ΔH_f (0 K) = -0.42 eV per atom

Unit cell a=5.550 b=5.550 c=5.271 alpha=90.00 beta=90.00 gamma=123.10
Sites, in units of the cell vectors:
Sn 0.239 0.239 0.750
Sn 0.761 0.761 0.250
Zr 0.094 0.421 0.250
Zr 0.421 0.094 0.250
Zr 0.906 0.579 0.750
Zr 0.579 0.906 0.750